Below is BaYMgCrCuO5 after structural relaxation, with properties calculated at the PBE+U level.

a = 3.9864 Å, b = 3.9865 Å, c = 9.8016 Å
α = 90.02°, β = 90.07°, γ = 89.99°
Last column: nearest neighbours and their distance in Å.
Positions (direct):
O: 0.5000 0.5001 0.9614  1 Cr 2.60, 4 Ba 2.90-2.91
Cu: 0.5004 0.4998 0.2587  4 O 2.01-2.02
O: 0.9999 0.5000 0.6469  2 Mg 2.05, 2 Cr 2.05
O: 0.9999 0.5000 0.2903  2 Cu 2.01-2.02, 2 Y 2.23
O: 0.4998 0.0000 0.6469  2 Mg 2.05, 2 Cr 2.05
Ba: 0.9997 0.9998 0.0336  8 O 2.90-3.21
Y: 0.0003 0.0002 0.3927  4 O 2.23
Cr: 0.5000 0.5001 0.6961  4 O 2.05
Mg: 0.9999 0.0001 0.6960  4 O 2.05
O: 0.5001 0.9999 0.2903  2 Cu 2.02, 2 Y 2.23

space-group type: Cm, No. 8
magnetic moment: 4.0 μB per formula unit
calculated total energy: -6.4728 eV per atom
polymorph energy (0 for the lowest one): 0.183 eV/atom
DFT formation energy: -2.168 eV per atom

Below is La9Mn10O30 after structural relaxation, with properties calculated at the PBE+U level.

a = 7.8605 Å, b = 9.5380 Å, c = 9.6332 Å
α = 81.00°, β = 113.82°, γ = 113.56°
Last column: nearest neighbours and their distance in Å.
Positions (direct):
O: 0.1518 0.6281 0.1736  2 Mn 1.97-1.99
O: 0.0877 0.7265 0.3898  2 Mn 1.96-2.03
La: 0.8496 0.9078 0.2935  4 O 2.44-2.69
La: 0.7454 0.4975 0.4996  5 O 2.48-2.73
O: 0.4803 0.3204 0.5901  2 Mn 2.00-2.01
Mn: 0.6027 0.3997 0.8033  6 O 1.96-2.02
O: 0.9058 0.7881 0.0775  2 Mn 2.00-2.01
O: 0.3020 0.0127 0.5293  2 Mn 1.98-2.03
Mn: 0.0008 0.0033 0.0011  6 O 1.99-2.01
O: 0.2592 0.9863 0.0310  2 Mn 2.00
Mn: 0.8004 0.2009 0.3965  6 O 1.94-2.02
La: 0.4508 0.3001 0.1016  3 O 2.46-2.49
Mn: 0.2976 0.2007 0.3976  6 O 1.95-2.03
O: 0.9186 0.2746 0.6133  2 Mn 1.99-2.02
La: 0.0493 0.6896 0.9051  5 O 2.43-2.71
La: 0.3535 0.9028 0.2981  5 O 2.47-2.64
O: 0.7259 0.9934 0.9603  2 Mn 1.98-2.00
O: 0.8542 0.3953 0.8130  2 Mn 1.96
Mn: 0.7001 0.8011 0.6000  6 O 1.98-2.00
La: 0.6568 0.1082 0.7084  5 O 2.44-2.72
La: 0.2434 0.4942 0.4908  4 O 2.43-2.69
O: 0.4984 0.1860 0.8746  2 Mn 1.98-1.99
Mn: 0.3962 0.5964 0.1998  6 O 1.94-2.02
O: 0.3065 0.8736 0.8102  2 Mn 1.98-2.04
O: 0.7004 0.4876 0.0049  2 Mn 1.96-2.00
O: 0.9369 0.8137 0.5602  2 Mn 2.00
O: 0.3359 0.4120 0.7597  2 Mn 2.01-2.02
La: 0.1483 0.0984 0.7018  4 O 2.44-2.60
O: 0.6618 0.1075 0.1959  2 Mn 1.94-1.95
O: 0.3333 0.3958 0.2922  2 Mn 1.94-1.95
O: 0.7071 0.9902 0.4804  2 Mn 1.98-2.01
Mn: 0.0988 0.3984 0.8015  6 O 1.96-2.03
O: 0.2871 0.5253 0.9852  2 Mn 1.98-2.00
O: 0.5162 0.6791 0.4123  2 Mn 1.98-2.01
Mn: 0.5031 0.0017 0.0011  6 O 1.95-2.04
O: 0.5412 0.2128 0.3695  2 Mn 1.99-2.00
La: 0.5524 0.7006 0.8996  5 O 2.45-2.61
O: 0.0620 0.1862 0.4369  2 Mn 1.99
O: 0.8887 0.4178 0.3360  2 Mn 1.98-1.99
O: 0.1044 0.5896 0.6745  2 Mn 1.98-2.03
Mn: 0.9002 0.5977 0.1994  6 O 1.99-2.03
Mn: 0.1999 0.8003 0.5994  6 O 1.96-2.00
O: 0.6633 0.5934 0.2337  2 Mn 2.00
O: 0.6962 0.6132 0.7234  2 Mn 1.99-2.01
O: 0.1309 0.0651 0.2193  2 Mn 1.96-2.00
O: 0.4953 0.8099 0.1197  2 Mn 1.99-2.02
O: 0.1054 0.2068 0.9118  2 Mn 1.97-1.99
O: 0.8833 0.9212 0.7887  2 Mn 1.98-2.01
O: 0.4610 0.7888 0.6348  2 Mn 1.99

space-group type: P1, No. 1
magnetic moment: 37.0 μB per formula unit
calculated total energy: -7.9373 eV per atom
polymorph energy (0 for the lowest one): 0.000 eV/atom
DFT formation energy: -2.893 eV per atom

Below is MgMo2HO6 after structural relaxation, with properties calculated at the PBE+U level.

a = 7.8398 Å, b = 7.8426 Å, c = 4.0027 Å
α = 90.89°, β = 90.82°, γ = 29.44°
Last column: nearest neighbours and their distance in Å.
Positions (direct):
H: 0.1842 0.3041 0.5223  1 O 0.98
O: 0.9166 0.9552 0.2318  3 Mo 2.04-2.18
O: 0.0218 0.0892 0.7358  3 Mo 1.98-2.14
Mg: 0.6925 0.7920 0.2023  5 O 2.03-2.21
Mo: 0.9694 0.8634 0.7320  2 O 1.76-1.94
O: 0.1774 0.2719 0.2871  1 H 0.98
O: 0.5607 0.6508 0.2067  2 Mo 2.02-2.06, 1 Mg 2.07
O: 0.4180 0.4283 0.7281  1 Mo 1.76
O: 0.7613 0.8199 0.7252  1 Mo 1.94, 1 Mg 2.06, 1 H 2.15
Mo: 0.0290 0.1300 0.2521  6 O 1.98-2.20

space-group type: P1, No. 1
magnetic moment: 3.0 μB per formula unit
calculated total energy: -6.6117 eV per atom
polymorph energy (0 for the lowest one): 0.000 eV/atom
DFT formation energy: -2.027 eV per atom